[1]
Computed, not measured: a geometry-optimized LiCo2OF5 structure at the PBE with a Hubbard U level of DFT.

The value obtained for the total DFT energy (no corrections) is -131.2 eV per cell. The calculation puts the total magnetization at 5.3 μB per formula unit. For the MP2020-corrected energy, the calculation gives -5.5544 eV per atom. The calculated volume is 10.64 A^3/atom. The polymorph energy (0 for the lowest one) comes out at 0.240 eV/f.u. The calculation puts the formation energy at -2.15 eV/atom.

a = 4.4995 Å, b = 8.5124 Å, c = 8.6244 Å
α = 60.48°, β = 88.94°, γ = 88.03°
Closest atoms and distances in Å follow each position.
Fractional positions:
Li 0.4944 0.3338 0.3362  5 F 1.98-2.02, 1 O 2.14
Li 0.0079 0.9990 0.0028  5 F 1.97-2.02, 1 O 2.12
Li 0.4898 0.6643 0.6682  5 F 1.98-2.04, 1 O 2.12
Co 0.9881 0.3517 0.0074  1 O 1.81, 3 F 2.01-2.02
Co 0.5141 0.6715 0.0039  1 O 1.84, 5 F 1.94-2.04
Co 0.9866 0.6579 0.3529  1 O 1.82, 3 F 1.98-2.02
Co 0.5129 0.9895 0.3256  1 O 1.82, 4 F 1.98-2.01
Co 0.5132 0.3070 0.6876  1 O 1.81, 4 F 1.99-2.01
Co 0.9859 0.0048 0.6588  1 O 1.82, 4 F 1.95-2.03
O 0.7437 0.4629 0.0941  2 Co 1.81-1.84
O 0.7372 0.7806 0.4274  2 Co 1.82
O 0.7654 0.1128 0.7616  2 Co 1.81-1.82
F 0.7641 0.1198 0.1075  1 Li 1.97, 2 Co 2.00-2.02
F 0.2726 0.2176 0.2188  2 Co 1.98-2.05, 1 Li 2.02
F 0.7444 0.1083 0.4349  1 Li 1.99, 2 Co 2.01
F 0.7657 0.7769 0.1123  2 Co 1.97-2.06, 1 Li 2.00
F 0.2526 0.5672 0.2268  2 Co 1.98-2.04, 1 Li 2.02
F 0.2617 0.2162 0.5598  1 Li 1.98, 2 Co 2.01-2.03
F 0.2382 0.8833 0.2264  1 Li 1.97, 2 Co 1.99-2.05
F 0.7427 0.4393 0.4513  2 Co 1.98-2.06, 1 Li 2.01
F 0.2637 0.5358 0.5646  2 Co 2.01-2.02, 1 Li 2.03
F 0.2438 0.8991 0.5479  2 Co 1.95-2.06, 1 Li 2.04
F 0.2306 0.2318 0.8939  2 Co 2.01, 1 Li 2.02
F 0.7379 0.4389 0.7818  1 Li 1.98, 2 Co 1.99-2.05
F 0.7357 0.7848 0.7702  2 Co 2.01-2.02, 1 Li 2.01
F 0.2571 0.5628 0.8916  1 Li 1.98, 2 Co 2.01-2.03
F 0.2500 0.8825 0.8857  2 Co 1.94-2.08, 1 Li 2.02

***

[2]
Computed, not measured: a geometry-optimized Li4Co7O2F14 structure at the PBE with a Hubbard U level of DFT.

The value obtained for the total DFT energy (no corrections) is -138.7 eV per cell. The calculation puts the total magnetization at 21.0 μB per formula unit. For the MP2020-corrected energy, the calculation gives -5.8525 eV per atom. The calculated volume is 12.00 A^3/atom. The polymorph energy (0 for the lowest one) comes out at 0.128 eV/f.u. The calculation puts the formation energy at -2.37 eV/atom.

a = 6.2019 Å, b = 6.1916 Å, c = 10.5886 Å
α = 91.01°, β = 71.79°, γ = 121.49°
Closest atoms and distances in Å follow each position.
Fractional positions:
Li 0.9843 0.0071 0.9913  4 F 1.92-1.98
Li 0.2830 0.6084 0.1244  3 F 1.96-2.02, 1 O 2.01
Li 0.2657 0.1179 0.6337  4 F 1.92-1.98
Li 0.9670 0.5166 0.5006  3 F 1.96-2.02, 1 O 2.01
Co 0.6250 0.0625 0.3125  6 F 2.06-2.07
Co 0.6297 0.3288 0.0666  1 O 1.95, 3 F 2.03-2.17
Co 0.1250 0.0625 0.3125  2 O 1.96, 2 F 2.20
Co 0.6250 0.0625 0.8125  6 F 2.04-2.15
Co 0.6250 0.5625 0.3125  2 O 1.96, 2 F 2.19
Co 0.6250 0.5625 0.8125  6 F 2.02-2.12
Co 0.6203 0.7962 0.5584  1 O 1.95, 3 F 2.03-2.17
O 0.8533 0.7174 0.4222  3 Co 1.95-1.96, 1 Li 2.01
O 0.3967 0.4076 0.2028  3 Co 1.95-1.96, 1 Li 2.01
F 0.8573 0.1803 0.4337  1 Li 2.02, 3 Co 2.07-2.20
F 0.8749 0.4212 0.1909  1 Li 2.02, 3 Co 2.06-2.23
F 0.8334 0.4199 0.6978  1 Li 1.96, 2 Co 2.02-2.04
F 0.8287 0.1837 0.9438  1 Li 1.95, 2 Co 2.03-2.04
F 0.3856 0.1771 0.4349  1 Li 1.97, 2 Co 2.06-2.19
F 0.8644 0.9479 0.1901  1 Li 1.97, 2 Co 2.06-2.19
F 0.8387 0.6732 0.9403  1 Li 1.92, 2 Co 2.04-2.05
F 0.3828 0.1927 0.9358  1 Li 1.98, 3 Co 2.12-2.22
F 0.3751 0.7038 0.4341  1 Li 2.02, 3 Co 2.06-2.23
F 0.8672 0.9323 0.6892  1 Li 1.98, 3 Co 2.12-2.22
F 0.4113 0.4518 0.6847  1 Li 1.92, 2 Co 2.04-2.05
F 0.3927 0.9447 0.1913  1 Li 2.02, 3 Co 2.07-2.20
F 0.4213 0.9413 0.6812  1 Li 1.95, 2 Co 2.03-2.04
F 0.4166 0.7051 0.9272  1 Li 1.96, 2 Co 2.02-2.04

***

[3]
Computed, not measured: a geometry-optimized Li4Co2OF7 structure at the PBE with a Hubbard U level of DFT.

The value obtained for the total DFT energy (no corrections) is -140.0 eV per cell. The calculation puts the total magnetization at 1.0 μB per formula unit. For the MP2020-corrected energy, the calculation gives -5.5153 eV per atom. The calculated volume is 10.84 A^3/atom. The polymorph energy (0 for the lowest one) comes out at 0.002 eV/f.u. The calculation puts the formation energy at -2.64 eV/atom.

a = 6.0434 Å, b = 6.0124 Å, c = 10.2456 Å
α = 89.22°, β = 107.14°, γ = 120.17°
Closest atoms and distances in Å follow each position.
Fractional positions:
Li 0.9928 0.4898 0.4901  4 F 1.93-2.00
Li 0.9870 0.9899 0.9901  4 F 1.93-2.00
Li 0.7577 0.3850 0.1338  3 F 1.93-1.94, 1 O 2.00
Li 0.7611 0.8850 0.6338  3 F 1.93-1.94, 1 O 2.00
Li 0.3713 0.6847 0.0625  5 F 2.03-2.11, 1 O 2.14
Li 0.3758 0.1847 0.5625  5 F 2.03-2.11, 1 O 2.14
Li 0.3755 0.4407 0.3167  6 F 2.04-2.11
Li 0.3819 0.9407 0.8167  6 F 2.04-2.11
Co 0.3954 0.9505 0.3018  1 O 1.75
Co 0.8569 0.4504 0.8018  1 O 1.75
Co 0.3791 0.4401 0.8075  1 O 1.98, 5 F 2.02-2.15
Co 0.8686 0.9401 0.3075  1 O 1.98, 5 F 2.02-2.15
O 0.6360 0.5441 0.7041  1 Co 1.75
O 0.6122 0.0441 0.2041  1 Co 1.75
F 0.6267 0.3048 0.9333  2 Li 1.94-2.05, 2 Co 2.09-2.15
F 0.6113 0.8048 0.4333  2 Li 1.94-2.05, 2 Co 2.09-2.15
F 0.1253 0.5662 0.6942  2 Li 1.97-2.11, 2 Co 2.06-2.09
F 0.1353 0.0663 0.1942  2 Li 1.97-2.11, 2 Co 2.06-2.09
F 0.1113 0.3313 0.9212  2 Li 2.00-2.11, 2 Co 2.09-2.10
F 0.1411 0.8314 0.4212  2 Li 2.00-2.11, 2 Co 2.09-2.10
F 0.1272 0.7906 0.9326  3 Li 1.96-2.06, 1 Co 2.02
F 0.1272 0.2886 0.4337  3 Li 1.93-2.04, 1 Co 2.02
F 0.5950 0.7887 0.9337  3 Li 1.93-2.04, 1 Co 2.02
F 0.5958 0.2907 0.4325  3 Li 1.96-2.06, 1 Co 2.02
F 0.1493 0.5808 0.1981  3 Li 1.93-2.09, 1 Co 2.02
F 0.1545 0.0777 0.6957  3 Li 1.94-2.06, 1 Co 2.02
F 0.6188 0.5777 0.1956  3 Li 1.94-2.06, 1 Co 2.02
F 0.6296 0.0808 0.6981  3 Li 1.93-2.09, 1 Co 2.02

***

[4]
Computed, not measured: a geometry-optimized Li5Co7O3F13 structure at the PBE with a Hubbard U level of DFT.

The value obtained for the total DFT energy (no corrections) is -145.6 eV per cell. The calculation puts the total magnetization at 21.0 μB per formula unit. For the MP2020-corrected energy, the calculation gives -5.8963 eV per atom. The calculated volume is 11.42 A^3/atom. The polymorph energy (0 for the lowest one) comes out at 0.000 eV/f.u. The calculation puts the formation energy at -2.36 eV/atom.

a = 6.0384 Å, b = 6.0911 Å, c = 10.5823 Å
α = 73.37°, β = 73.48°, γ = 60.48°
Closest atoms and distances in Å follow each position.
Fractional positions:
Li 0.7535 0.7355 0.7499  1 O 2.01, 5 F 2.06-2.20
Li 0.1953 0.6976 0.4348  3 F 1.97-2.00, 1 O 1.98
Li 0.8046 0.3055 0.5641  4 F 1.94-1.99
Li 0.7551 0.2504 0.2527  6 F 2.06-2.11
Li 0.3159 0.8045 0.0645  4 F 1.97-2.02
Co 0.6803 0.2217 0.9261  2 O 1.88-1.92, 2 F 2.05-2.06
Co 0.0031 0.4843 0.9919  2 O 1.95-2.02, 2 F 2.13
Co 0.2585 0.7339 0.7523  1 O 1.96, 5 F 2.07-2.14
Co 0.2384 0.2579 0.7598  2 O 1.96-2.04, 4 F 2.12-2.19
Co 0.5003 0.9949 0.4952  1 O 1.96, 5 F 2.08-2.15
Co 0.2530 0.2319 0.2583  1 O 1.95, 5 F 2.09-2.16
Co 0.7357 0.7503 0.2581  1 O 1.95, 5 F 2.10-2.17
O 0.3494 0.3989 0.8702  4 Co 1.92-2.04
O 0.8913 0.3900 0.8682  3 Co 1.88-1.96, 1 Li 2.01
O 0.3975 0.8949 0.3694  3 Co 1.95-1.96, 1 Li 1.98
F 0.8778 0.8704 0.8688  3 Co 2.05-2.20, 1 Li 2.14
F 0.1172 0.6340 0.6319  2 Li 1.97-2.08, 2 Co 2.07-2.18
F 0.6198 0.6400 0.6254  2 Li 1.98-2.06, 2 Co 2.10-2.11
F 0.3797 0.8747 0.8639  2 Li 2.00-2.10, 2 Co 2.09-2.12
F 0.1381 0.1058 0.6321  1 Li 1.99, 3 Co 2.13-2.19
F 0.5975 0.1182 0.6264  1 Li 1.95, 2 Co 2.08-2.13
F 0.8652 0.8907 0.3678  2 Li 1.97-2.06, 2 Co 2.11-2.12
F 0.6284 0.1267 0.1323  3 Co 2.06-2.17, 1 Li 2.11
F 0.3901 0.3622 0.3697  2 Li 2.00-2.07, 2 Co 2.11-2.13
F 0.1187 0.1338 0.1318  2 Li 1.98-2.09, 2 Co 2.09-2.13
F 0.8801 0.3769 0.3701  2 Li 1.94-2.09, 2 Co 2.09-2.10
F 0.1071 0.6047 0.1352  1 Li 2.02, 3 Co 2.13-2.21
F 0.6484 0.6098 0.1290  2 Li 1.97-2.09, 2 Co 2.10-2.13

***

[5]
Computed, not measured: a geometry-optimized Li8CoO5F structure at the PBE with a Hubbard U level of DFT.

The value obtained for the total DFT energy (no corrections) is -149.9 eV per cell. The calculation puts the total magnetization at 4.0 μB per formula unit. For the MP2020-corrected energy, the calculation gives -5.3655 eV per atom. The calculated volume is 9.83 A^3/atom. The polymorph energy (0 for the lowest one) comes out at 0.000 eV/f.u. The calculation puts the formation energy at -2.10 eV/atom.

a = 5.5593 Å, b = 5.5744 Å, c = 10.9391 Å
α = 90.36°, β = 89.83°, γ = 119.55°
Closest atoms and distances in Å follow each position.
Fractional positions:
Li 0.6859 0.9755 0.2277  3 O 1.93-2.00, 1 F 2.15
Li 0.6379 0.0212 0.8789  3 O 1.92-2.15, 1 F 2.10
Li 0.3575 0.9780 0.3808  2 O 1.90-1.96, 1 F 2.13
Li 0.3115 0.0226 0.7268  3 O 1.91-2.00
Li 0.6645 0.3285 0.5869  3 O 1.93-1.96
Li 0.6695 0.3322 0.0762  3 O 1.89-1.92
Li 0.2892 0.3101 0.2275  3 O 1.94-2.02, 1 F 2.14
Li 0.3860 0.3666 0.8776  2 O 1.92-1.94, 1 F 2.07
Li 0.6156 0.6348 0.3779  2 O 1.92-1.95, 1 F 2.07
Li 0.9795 0.2913 0.7280  3 O 1.94-2.01, 1 F 2.15
Li 0.7138 0.6889 0.7274  3 O 1.93-2.02, 1 F 2.15
Li 0.0196 0.3850 0.3781  3 O 1.93-2.15, 1 F 2.09
Li 0.3299 0.6653 0.0869  3 O 1.93-1.95
Li 0.3368 0.6697 0.5761  3 O 1.89-1.93
Li 0.9797 0.6200 0.8805  2 O 1.91-1.96, 1 F 2.12
Li 0.0226 0.7129 0.2269  3 O 1.91-2.01
Co 0.0022 0.0066 0.0122  4 O 1.82-2.01
Co 0.9920 0.9998 0.5124  4 O 1.82-2.01
O 0.6748 0.9935 0.0520  1 Co 1.84, 4 Li 1.92-1.93
O 0.3210 0.9975 0.5531  1 Co 1.89, 4 Li 1.89-1.93
O 0.6684 0.3346 0.7866  6 Li 1.94-1.99
O 0.9984 0.0015 0.3285  6 Li 2.00-2.17, 1 Co 2.01
O 0.0022 0.0028 0.8285  6 Li 2.00-2.16, 1 Co 2.01
O 0.3234 0.3184 0.0510  1 Co 1.82, 4 Li 1.91-1.95
O 0.0086 0.3259 0.5519  1 Co 1.82, 4 Li 1.90-1.96
O 0.6829 0.6763 0.5511  1 Co 1.83, 4 Li 1.92-1.93
O 0.3322 0.6654 0.2865  6 Li 1.95-1.98
O 0.9936 0.6757 0.0531  1 Co 1.88, 4 Li 1.89-1.94
F 0.6652 0.3330 0.2887  6 Li 2.07-2.18
F 0.3358 0.6662 0.7889  6 Li 2.07-2.17

***

[6]
Computed, not measured: a geometry-optimized Li2CoOF3 structure at the PBE with a Hubbard U level of DFT.

The value obtained for the total DFT energy (no corrections) is -140.4 eV per cell. The calculation puts the total magnetization at 0.0 μB per formula unit. For the MP2020-corrected energy, the calculation gives -5.5443 eV per atom. The calculated volume is 10.78 A^3/atom. The polymorph energy (0 for the lowest one) comes out at 0.292 eV/f.u. The calculation puts the formation energy at -2.46 eV/atom.

a = 5.3554 Å, b = 8.1017 Å, c = 7.8879 Å
α = 72.01°, β = 72.45°, γ = 72.27°
Closest atoms and distances in Å follow each position.
Fractional positions:
Li 0.5875 0.6767 0.0107  4 F 1.88-2.09
Li 0.0875 0.1767 0.5107  4 F 1.88-2.09
Li 0.8618 0.4596 0.7255  4 F 1.88-2.00
Li 0.3618 0.9596 0.2255  4 F 1.88-2.00
Li 0.0602 0.5955 0.2549  4 F 2.04-2.14, 1 O 2.21
Li 0.5602 0.0955 0.7549  4 F 2.04-2.14, 1 O 2.21
Li 0.2599 0.3550 0.9850  4 F 1.99-2.12
Li 0.7599 0.8550 0.4850  4 F 1.99-2.12
Co 0.2436 0.8031 0.7219  2 O 1.74-1.88
Co 0.9342 0.9826 0.0346  2 O 1.79-1.84, 1 F 1.98
Co 0.7436 0.3031 0.2219  2 O 1.74-1.88
Co 0.4343 0.4826 0.5346  2 O 1.79-1.84, 1 F 1.98
O 0.4744 0.4956 0.2974  2 Co 1.79-1.88
O 0.9744 0.9956 0.7974  2 Co 1.79-1.88
O 0.6689 0.1538 0.1369  2 Co 1.74-1.84
O 0.1689 0.6537 0.6369  2 Co 1.74-1.84
F 0.6852 0.8154 0.1219  2 Li 1.88, 1 Co 2.01
F 0.1852 0.3153 0.6219  2 Li 1.88, 1 Co 2.01
F 0.8530 0.4653 0.9670  3 Li 1.91-2.12, 1 Co 2.06
F 0.3530 0.9653 0.4670  3 Li 1.91-2.12, 1 Co 2.06
F 0.0744 0.3403 0.2496  1 Co 1.97, 3 Li 2.01-2.09
F 0.5744 0.8403 0.7496  1 Co 1.97, 3 Li 2.01-2.09
F 0.5582 0.3480 0.7625  1 Co 1.98, 3 Li 1.99-2.06
F 0.0582 0.8480 0.2625  1 Co 1.98, 3 Li 1.99-2.06
F 0.2441 0.6550 0.9840  2 Li 1.98-2.04, 1 Co 2.05
F 0.7441 0.1550 0.4840  2 Li 1.98-2.04, 1 Co 2.05
F 0.2445 0.1041 0.9980  3 Li 1.98-2.14, 1 Co 2.08
F 0.7445 0.6041 0.4980  3 Li 1.98-2.14, 1 Co 2.08